1.
The following is a DFT calculation (r²SCAN) of crystalline DyGeRu at its relaxed geometry.

Cell lengths 4.414, 7.026, 7.164 Å; angles 90.00, 90.00, 90.00 degrees
Element x y z (fractional)
Ge 0.250 0.798 0.394
Ru 0.750 0.346 0.935
Dy 0.750 0.516 0.308
Ge 0.750 0.702 0.894
Ge 0.750 0.202 0.606
Dy 0.250 0.984 0.808
Ru 0.250 0.154 0.435
Dy 0.250 0.484 0.692
Ge 0.250 0.298 0.106
Dy 0.750 0.016 0.192
Ru 0.750 0.846 0.565
Ru 0.250 0.654 0.065

Properties
symmetry = Pnma (62)
E_tot = -24.5448 eV per atom
energy relative to the elements = -785 meV per atom



2.
The following is a DFT calculation (r²SCAN) of crystalline Dy3Ge3Ru2 at its relaxed geometry.

Cell lengths 5.806, 5.806, 13.907 Å; angles 90.00, 90.00, 137.15 degrees
Element x y z (fractional)
Ru 0.214 0.786 0.418
Dy 0.079 0.921 0.887
Dy 0.647 0.353 0.250
Ru 0.214 0.786 0.082
Ge 0.665 0.335 0.750
Ge 0.383 0.617 0.959
Dy 0.921 0.079 0.113
Ge 0.383 0.617 0.541
Dy 0.079 0.921 0.613
Ru 0.786 0.214 0.582
Ru 0.786 0.214 0.918
Ge 0.617 0.383 0.459
Ge 0.617 0.383 0.041
Dy 0.353 0.647 0.750
Dy 0.921 0.079 0.387
Ge 0.335 0.665 0.250

Properties
symmetry = Cmcm (63)
E_tot = -24.4095 eV per atom
energy relative to the elements = -858 meV per atom



3.
The following is a DFT calculation (r²SCAN) of crystalline DyGe2Ru2 at its relaxed geometry.

Cell lengths 4.236, 4.236, 5.746 Å; angles 111.63, 111.63, 90.00 degrees
Element x y z (fractional)
Ru 0.750 0.250 0.500
Ge 0.631 0.631 0.261
Ru 0.250 0.750 0.500
Dy 0.000 0.000 0.000
Ge 0.369 0.369 0.739

Properties
symmetry = I4/mmm (139)
E_tot = -22.8275 eV per atom
energy relative to the elements = -713 meV per atom



4.
The following is a DFT calculation (r²SCAN) of crystalline Dy5Ge2Sb2 at its relaxed geometry.

Cell lengths 8.510, 8.510, 7.928 Å; angles 90.00, 90.00, 124.63 degrees
Element x y z (fractional)
Dy 0.536 0.789 0.162
Ge 0.642 0.642 0.859
Dy 0.500 0.500 0.500
Dy 0.789 0.536 0.162
Dy 0.464 0.211 0.838
Sb 0.204 0.796 0.000
Sb 0.796 0.204 0.000
Dy 0.211 0.464 0.838
Ge 0.142 0.142 0.641
Ge 0.858 0.858 0.359
Dy 0.036 0.289 0.338
Dy 0.711 0.964 0.662
Dy 0.000 0.000 0.000
Dy 0.289 0.036 0.338
Ge 0.358 0.358 0.141
Dy 0.964 0.711 0.662
Sb 0.296 0.704 0.500
Sb 0.704 0.296 0.500

Properties
symmetry = Cmce (64)
E_tot = -27.6965 eV per atom
energy relative to the elements = -1134 meV per atom